w) First-principles (PBE with a Hubbard U) data for crystalline K2MgMn2P6H2O20 at its relaxed geometry, as listed in the Materials Project database.

a b c (Å): 7.4419 7.4917 10.1464
angles (deg): 71.59 71.04 71.34
With the nearest neighbours (Å) after each atom.
Space group P1 (No. 1)
Asymmetric unit:
1 K 0.0000 0.0000 0.0000  5 O 2.78-3.01
2 K 0.0294 0.8492 0.5670  5 O 2.73-2.90
3 Mg 0.6290 0.6549 0.2437  5 O 2.03-2.17
4 Mn 0.0142 0.4088 0.2995  5 O 2.11-2.29
5 Mn 0.5030 0.9195 0.7791  6 O 2.11-2.22
6 P 0.1802 0.2601 0.5978  4 O 1.51-1.63
7 P 0.3668 0.1452 0.0807  4 O 1.49-1.64
8 P 0.3889 0.5490 0.0542  4 O 1.50-1.62
9 P 0.5968 0.2976 0.5097  4 O 1.49-1.60
10 P 0.6068 0.6796 0.5022  4 O 1.48-1.65
11 P 0.8127 0.5917 0.9698  3 O 1.51-1.55
12 H 0.0012 0.4235 0.7683  1 O 1.05
13 H 0.4632 0.9644 0.2781  1 O 1.01
14 O 0.0637 0.4457 0.6575  1 H 1.05
15 O 0.0869 0.2376 0.4935  1 P 1.51
16 O 0.1680 0.1847 0.1834  1 P 1.51
17 O 0.2249 0.0817 0.7153  1 P 1.51
18 O 0.2409 0.5565 0.1959  1 P 1.51
19 O 0.3448 0.6972 0.9223  1 P 1.50
20 O 0.3821 0.3215 0.4956  2 P 1.60-1.63
21 O 0.3879 0.0746 0.9531  1 P 1.49
22 O 0.4402 0.7653 0.4214  1 P 1.56, 1 H 1.73
23 O 0.4578 0.3340 0.0252  2 P 1.62
24 O 0.5199 0.9862 0.1710  1 H 1.01
25 O 0.5788 0.4597 0.5883  2 P 1.60-1.65
26 O 0.5853 0.5682 0.0802  2 P 1.62-1.73
27 O 0.6026 0.7687 0.6148  1 P 1.48
28 O 0.6715 0.1063 0.6023  1 P 1.49
29 O 0.7107 0.3539 0.3532  1 P 1.53
30 O 0.7770 0.7727 0.8517  1 P 1.52
31 O 0.7979 0.6607 0.3801  1 P 1.55
32 O 0.8817 0.6221 0.0878  1 P 1.55
33 O 0.9131 0.4035 0.9235  1 H 1.47, 1 P 1.51

Values from the calculation:
crystal system: triclinic
volume: 492.5 Å³ per cell

***

x) First-principles (PBE with a Hubbard U) data for crystalline K2MgMn2P6H2O20 at its relaxed geometry, as listed in the Materials Project database.

a b c (Å): 7.5783 7.6683 9.8051
angles (deg): 71.93 69.99 69.87
With the nearest neighbours (Å) after each atom.
Space group P1 (No. 1)
Asymmetric unit:
1 K 0.0000 0.0000 0.0000  2 O 2.57-2.65
2 K 0.1103 0.9816 0.4361  5 O 2.85-3.16
3 Mg 0.2457 0.3419 0.8662  3 O 1.95-2.04
4 Mn 0.0909 0.5088 0.2363  6 O 2.16-2.29
5 Mn 0.6124 0.0006 0.7330  5 O 2.09-2.22
6 P 0.2869 0.3710 0.5318  4 O 1.50-1.61
7 P 0.4762 0.6600 0.0225  4 O 1.50-1.61
8 P 0.4906 0.2626 0.0228  4 O 1.50-1.64
9 P 0.6998 0.7772 0.4366  4 O 1.50-1.64
10 P 0.7022 0.3793 0.4541  4 O 1.50-1.62
11 P 0.8919 0.6575 0.9314  4 O 1.52-1.64
12 H 0.0659 0.5715 0.6572  1 O 1.00
13 H 0.5657 0.9890 0.2643  1 O 1.03
14 O 0.0193 0.6513 0.0239  1 P 1.52
15 O 0.1770 0.5799 0.5659  1 H 1.00
16 O 0.1926 0.3206 0.4426  1 P 1.50
17 O 0.2677 0.2918 0.0938  1 P 1.56
18 O 0.3074 0.2364 0.6827  1 P 1.54
19 O 0.3255 0.6456 0.1697  1 P 1.50
20 O 0.4258 0.8357 0.9038  1 P 1.51
21 O 0.4961 0.3956 0.4280  2 P 1.60-1.62
22 O 0.5218 0.2081 0.8756  1 P 1.54
23 O 0.5263 0.4755 0.9562  2 P 1.61-1.64
24 O 0.5274 0.8906 0.3593  1 H 1.03
25 O 0.6243 0.1402 0.1193  1 P 1.50, 1 H 1.57
26 O 0.6534 0.5698 0.5120  2 P 1.61-1.64
27 O 0.6797 0.8543 0.5658  1 P 1.50
28 O 0.6812 0.6407 0.0481  2 P 1.61-1.64
29 O 0.7479 0.2104 0.5765  1 P 1.50
30 O 0.8524 0.3806 0.3070  1 P 1.50
31 O 0.8608 0.8426 0.8155  1 P 1.52
32 O 0.8963 0.7572 0.3227  1 P 1.52
33 O 0.9786 0.4805 0.8596  1 P 1.56

Values from the calculation:
crystal system: triclinic
volume: 490.6 Å³ per cell

***

y) First-principles (PBE with a Hubbard U) data for crystalline K2MgMn2P6H2O20 at its relaxed geometry, as listed in the Materials Project database.

a b c (Å): 7.1790 7.2592 9.9464
angles (deg): 71.81 74.28 69.51
With the nearest neighbours (Å) after each atom.
Space group P-1 (No. 2)
Asymmetric unit:
1 K 0.0894 0.4111 0.1615  3 O 2.62-2.89
2 Mg 0.0000 0.5000 0.5000  4 O 1.96-2.00
3 Mn 0.0000 0.0000 0.0000  6 O 2.19-2.21
4 Mn 0.5000 0.5000 0.5000  2 O 2.09
5 P 0.2208 0.8601 0.3087  4 O 1.49-1.65
6 P 0.3266 0.1429 0.7130  4 O 1.50-1.60
7 P 0.3497 0.6996 0.7981  4 O 1.52-1.65
8 H 0.0000 0.0000 0.5000  2 O 1.21
9 H 0.5000 0.5000 0.0000  2 O 1.22
10 O 0.0963 0.0377 0.3794  1 H 1.21
11 O 0.1528 0.7367 0.9066  1 P 1.52
12 O 0.1955 0.6546 0.4061  1 P 1.55
13 O 0.2067 0.9009 0.1544  1 P 1.49
14 O 0.2099 0.1683 0.8593  1 P 1.50
15 O 0.2306 0.2898 0.5865  1 P 1.52
16 O 0.3459 0.5980 0.6871  1 P 1.52
17 O 0.3836 0.9175 0.6975  2 P 1.59-1.65
18 O 0.4574 0.8192 0.3221  2 P 1.60-1.65
19 O 0.4668 0.4040 0.1244  1 H 1.22

Values from the calculation:
crystal system: triclinic
volume: 453.6 Å³ per cell

***

Which of them is least stable? Easy: y).

***

w) First-principles (PBE with a Hubbard U) data for crystalline KMgNi2H3Se2O10 at its relaxed geometry, as listed in the Materials Project database.

a b c (Å): 5.8202 5.9301 7.7725
angles (deg): 105.41 96.67 115.87
With the nearest neighbours (Å) after each atom.
Space group P1 (No. 1)
Asymmetric unit:
1 K 0.0000 0.0000 0.0000  5 O 2.61-2.87
2 Mg 0.3927 0.7193 0.7977  6 O 2.02-2.21, 1 H 2.21
3 Ni 0.4202 0.3990 0.4682  4 O 1.92-2.12
4 Ni 0.9199 0.8806 0.5000  5 O 1.99-2.23, 1 H 2.22
5 H 0.0925 0.2915 0.7051  1 O 0.98
6 H 0.7283 0.3520 0.2350  1 O 1.00
7 H 0.8671 0.3860 0.4377  1 O 1.00
8 Se 0.3363 0.7525 0.2314  4 O 1.67-1.72
9 Se 0.5540 0.2338 0.8022  3 O 1.70-1.79
10 O 0.0975 0.3255 0.5884  1 H 0.98
11 O 0.1871 0.6722 0.0102  1 Se 1.67
12 O 0.2150 0.4670 0.2765  1 Se 1.68
13 O 0.2288 0.9487 0.7125  1 Se 1.79
14 O 0.2328 0.9658 0.3485  1 Se 1.72
15 O 0.5061 0.4909 0.9138  1 Se 1.70
16 O 0.6323 0.1384 0.9819  1 Se 1.72, 1 H 1.89
17 O 0.6454 0.7611 0.6362  2 Ni 1.92-1.99, 1 Mg 2.02
18 O 0.6660 0.9006 0.2834  1 Se 1.67
19 O 0.7581 0.4441 0.3703  2 H 1.00

Values from the calculation:
crystal system: triclinic
volume: 224.2 Å³ per cell

***

x) First-principles (PBE with a Hubbard U) data for crystalline KMgNi2H3Se2O10 at its relaxed geometry, as listed in the Materials Project database.

a b c (Å): 5.8526 5.9145 8.1169
angles (deg): 68.88 69.03 69.40
With the nearest neighbours (Å) after each atom.
Space group P1 (No. 1)
Asymmetric unit:
1 K 0.0000 0.0000 0.0000  5 O 2.71-3.01
2 Mg 0.5138 0.4706 0.9989  4 O 1.96-2.02
3 Ni 0.3613 0.1015 0.4862  6 O 2.02-2.25
4 Ni 0.8961 0.6040 0.5022  5 O 2.02-2.24
5 H 0.0407 0.3001 0.2902  1 O 0.98
6 H 0.7015 0.9344 0.7092  1 O 0.98
7 H 0.8387 0.0964 0.5126  1 O 1.06
8 Se 0.3292 0.5160 0.7194  4 O 1.72-1.90
9 Se 0.4807 0.6550 0.2744  3 O 1.72-1.81
10 O 0.0093 0.2753 0.4210  1 H 0.98
11 O 0.1576 0.3639 0.6604  1 Se 1.83
12 O 0.1606 0.7846 0.3085  1 Se 1.72
13 O 0.1955 0.8327 0.6930  1 Se 1.72
14 O 0.2232 0.4131 0.9557  1 Se 1.73
15 O 0.5296 0.3258 0.2541  1 Se 1.93, 1 Mg 1.96, 1 Ni 2.02
16 O 0.5729 0.7628 0.0369  1 Se 1.74
17 O 0.6153 0.8340 0.3386  1 Se 1.81
18 O 0.6585 0.4649 0.7408  1 Se 1.90, 1 Mg 1.97, 1 Ni 2.02
19 O 0.7170 0.9746 0.5783  2 H 0.98-1.06

Values from the calculation:
crystal system: triclinic
volume: 236.6 Å³ per cell

***

Which of them is least stable? Easy: x).

***

w) First-principles (PBE with a Hubbard U) data for crystalline KMgNi2H3Se2O10 at its relaxed geometry, as listed in the Materials Project database.

a b c (Å): 10.0791 6.6359 8.3902
angles (deg): 90.00 121.91 90.00
With the nearest neighbours (Å) after each atom.
Space group Cm (No. 8)
Asymmetric unit:
1 K 0.0000 0.0000 0.0000  5 O 2.53-2.80
2 Mg 0.4478 0.5000 0.3218  5 O 2.04-2.22
3 Ni 0.2376 0.2431 0.5428  3 O 1.93-2.14
4 H 0.0839 0.0000 0.6885  1 O 0.98
5 H 0.2039 0.5000 0.3197  1 O 0.98
6 H 0.2510 0.0000 0.8603  1 O 1.03
7 Se 0.0938 0.5000 0.8144  4 O 1.67-1.71
8 Se 0.3886 0.0000 0.2930  3 O 1.69-1.76
9 O 0.0101 0.2933 0.3240  1 Se 1.76
10 O 0.1802 0.0000 0.3933  2 Ni 1.93, 1 Mg 2.09
11 O 0.1913 0.0000 0.7163  2 H 0.98-1.03
12 O 0.1958 0.5000 0.7043  1 Se 1.71
13 O 0.2255 0.5000 0.0450  1 Se 1.67
14 O 0.2725 0.0000 0.0567  1 H 1.54, 1 Se 1.69
15 O 0.3054 0.5000 0.4389  1 H 0.98
16 O 0.4795 0.2058 0.7537  1 Se 1.68

Values from the calculation:
crystal system: monoclinic
volume: 476.4 Å³ per cell

***

x) First-principles (PBE with a Hubbard U) data for crystalline KMgNi2H3Se2O10 at its relaxed geometry, as listed in the Materials Project database.

a b c (Å): 5.8208 5.8534 9.3701
angles (deg): 74.22 74.60 61.21
With the nearest neighbours (Å) after each atom.
Space group P1 (No. 1)
Asymmetric unit:
1 K 0.0000 0.0000 0.0000  5 O 2.66-2.95
2 Mg 0.4480 0.4421 0.3966  5 O 1.96-2.19
3 Ni 0.4398 0.9087 0.5659  4 O 1.93-2.06
4 Ni 0.9134 0.4377 0.5666  4 O 1.93-2.07
5 H 0.1862 0.1938 0.3314  1 O 0.98
6 H 0.6750 0.6648 0.8524  1 O 1.04
7 H 0.8528 0.8454 0.6660  1 O 0.98
8 Se 0.3962 0.3912 0.7642  4 O 1.64-1.74
9 Se 0.6427 0.6335 0.1233  3 O 1.71-1.79
10 O 0.2285 0.2275 0.4155  1 H 0.98
11 O 0.2468 0.7260 0.7378  1 Se 1.69
12 O 0.2810 0.2740 0.9318  1 Se 1.64
13 O 0.3091 0.3054 0.6299  1 Se 1.74
14 O 0.3221 0.7456 0.2149  1 Se 1.71
15 O 0.5981 0.5826 0.9545  1 H 1.04
16 O 0.6146 0.6129 0.4599  2 Ni 1.93, 1 Mg 1.96
17 O 0.7322 0.2428 0.7382  1 Se 1.69
18 O 0.7513 0.7468 0.6777  1 H 0.98
19 O 0.7594 0.3151 0.2185  1 Se 1.71

Values from the calculation:
crystal system: triclinic
volume: 265.8 Å³ per cell

***

Which of them is least stable? Easy: w).